{
  "formula": "CuBr2",
  "functional": "PBE",
  "state": "relaxed",
  "lattice_angstrom": [[1.2679, -4.1903, -1.1219], [3.9738, -2.1264, -0.3344], [1.4339, -3.9686, 5.4739]],
  "species": ["Cu", "Br", "Br"],
  "frac_coords": [[0.0000, 0.0000, 0.0000], [0.4944, 0.4944, 0.7613], [0.5056, 0.5056, 0.2387]]
}

{
  "formula": "KPO4",
  "functional": "PBE",
  "state": "relaxed",
  "lattice_angstrom": [[14.8899, 0.0000, 0.0000], [0.0000, 7.3579, 0.0000], [0.0000, 0.2278, 7.7262]],
  "species": ["K", "K", "K", "K", "K", "K", "K", "K", "P", "P", "P", "P", "P", "P", "P", "P", "O", "O", "O", "O", "O", "O", "O", "O", "O", "O", "O", "O", "O", "O", "O", "O", "O", "O", "O", "O", "O", "O", "O", "O", "O", "O", "O", "O", "O", "O", "O", "O"],
  "frac_coords": [[0.6182, 0.3654, 0.7739], [0.1182, 0.6346, 0.2261], [0.6124, 0.6706, 0.2759], [0.1124, 0.3294, 0.7241], [0.8956, 0.2069, 0.3637], [0.3956, 0.7931, 0.6363], [0.8795, 0.9069, 0.8652], [0.3795, 0.0931, 0.1348], [0.6329, 0.1789, 0.2686], [0.1329, 0.8211, 0.7314], [0.6284, 0.8693, 0.7762], [0.1284, 0.1307, 0.2238], [0.8730, 0.4053, 0.8639], [0.3730, 0.5947, 0.1361], [0.8663, 0.7141, 0.3643], [0.3663, 0.2859, 0.6357], [0.6634, 0.3161, 0.1252], [0.1634, 0.6839, 0.8748], [0.7157, 0.0852, 0.3537], [0.2157, 0.9148, 0.6463], [0.5887, 0.2881, 0.4135], [0.0887, 0.7119, 0.5865], [0.5674, 0.0396, 0.1958], [0.0674, 0.9604, 0.8042], [0.5459, 0.9782, 0.8370], [0.0459, 0.0218, 0.1630], [0.5933, 0.7473, 0.6337], [0.0933, 0.2527, 0.3663], [0.6692, 0.7573, 0.9302], [0.1692, 0.2427, 0.0698], [0.7074, 0.9944, 0.7202], [0.2074, 0.0056, 0.2798], [0.9467, 0.5316, 0.9347], [0.4467, 0.4684, 0.0653], [0.7918, 0.5130, 0.7902], [0.2918, 0.4870, 0.2098], [0.8427, 0.2764, 0.0144], [0.3427, 0.7236, 0.9856], [0.9131, 0.2949, 0.7167], [0.4131, 0.7051, 0.2833], [0.9381, 0.5824, 0.3000], [0.4381, 0.4176, 0.7000], [0.9076, 0.8300, 0.5065], [0.4076, 0.1700, 0.4935], [0.8322, 0.8412, 0.2150], [0.3322, 0.1588, 0.7850], [0.7841, 0.6051, 0.4317], [0.2841, 0.3949, 0.5683]]
}

{
  "formula": "Cs2NaScBr6",
  "functional": "PBE",
  "state": "relaxed",
  "lattice_angstrom": [[0.0000, 5.6375, 5.6375], [5.6375, 0.0000, 5.6375], [5.6375, 5.6375, 0.0000]],
  "species": ["Cs", "Cs", "Na", "Sc", "Br", "Br", "Br", "Br", "Br", "Br"],
  "frac_coords": [[0.7500, 0.7500, 0.7500], [0.2500, 0.2500, 0.2500], [0.5000, 0.5000, 0.5000], [0.0000, 0.0000, 0.0000], [0.7632, 0.2368, 0.2368], [0.2368, 0.2368, 0.7632], [0.2368, 0.7632, 0.7632], [0.2368, 0.7632, 0.2368], [0.7632, 0.2368, 0.7632], [0.7632, 0.7632, 0.2368]]
}

{
  "formula": "Sn3P",
  "functional": "PBE",
  "state": "relaxed",
  "de_polymorph_mev_per_atom": 0,
  "lattice_angstrom": [[-1.5225, 5.7187, -2.4810], [-2.2986, -1.7228, 5.7381], [4.4441, 2.2484, 2.4553]],
  "species": ["Sn", "Sn", "Sn", "Sn", "Sn", "Sn", "P", "P"],
  "frac_coords": [[0.8302, 0.1698, 0.7500], [0.3396, 0.1698, 0.7500], [0.8302, 0.6604, 0.7500], [0.1698, 0.8302, 0.2500], [0.6604, 0.8302, 0.2500], [0.1698, 0.3396, 0.2500], [0.6667, 0.3333, 0.2500], [0.3333, 0.6667, 0.7500]]
}

Energy of formation from the pure elements readings, ordered: -0.67, -2.03, -2.10, 0.27 eV per atom
Size of the total moment readings, ordered: 0.0, 2.0, 0.0, 0.0 μB/f.u.